Computed, not measured: a relaxed structure of Tb2CuGe4O12 at the PBE level of DFT.

Calculated values
* uncorrected energy: -6.887 eV/atom
* formation energy from the elements: -2519 meV/atom
* space group: No. 2
* spin magnetization: 0.05 μB/atom
* density: 5.49 g/cm³

Unit cell a=4.9911 b=7.3160 c=8.0441 alpha=66.27 beta=86.84 gamma=76.79
With the nearest neighbours (Å) after each atom.
Positions (direct):
Tb: 0.0465 0.2695 0.4516  6 O 2.27-2.40
Tb: 0.9535 0.7305 0.5484  6 O 2.27-2.40
Cu: 0.0000 0.5000 0.0000  4 O 1.98
Ge: 0.4187 0.8839 0.7968  4 O 1.75-1.83
Ge: 0.4602 0.6695 0.2235  4 O 1.76-1.80
Ge: 0.5398 0.3305 0.7765  4 O 1.76-1.80
Ge: 0.5813 0.1161 0.2032  4 O 1.75-1.83
O: 0.2082 0.9236 0.6133  1 Ge 1.75
O: 0.2272 0.5669 0.3874  1 Ge 1.76
O: 0.2474 0.5049 0.7976  1 Ge 1.76
O: 0.2567 0.2766 0.1921  1 Ge 1.75
O: 0.2671 0.8129 0.0119  2 Ge 1.77-1.79
O: 0.4190 0.1561 0.7076  2 Ge 1.80-1.83
O: 0.5810 0.8439 0.2924  2 Ge 1.80-1.83
O: 0.7329 0.1871 0.9881  2 Ge 1.77-1.79
O: 0.7433 0.7234 0.8079  1 Ge 1.75
O: 0.7526 0.4951 0.2024  1 Ge 1.76
O: 0.7728 0.4331 0.6126  1 Ge 1.76
O: 0.7918 0.0764 0.3867  1 Ge 1.75